Record 1
{
  "formula": "Pm2ZnIr",
  "functional": "GGA-PBE",
  "state": "optimized geometry",
  "lattice_angstrom": [[7.160, 0.000, 0.000], [0.000, 7.160, 0.000], [0.000, 0.000, 7.160]],
  "species": ["Pm", "Pm", "Pm", "Pm", "Pm", "Pm", "Pm", "Pm", "Zn", "Zn", "Zn", "Zn", "Ir", "Ir", "Ir", "Ir"],
  "frac_coords": [[0.250, 0.250, 0.250], [0.250, 0.250, 0.750], [0.250, 0.750, 0.250], [0.250, 0.750, 0.750], [0.750, 0.250, 0.250], [0.750, 0.250, 0.750], [0.750, 0.750, 0.250], [0.750, 0.750, 0.750], [0.000, 0.000, 0.000], [0.000, 0.500, 0.500], [0.500, 0.000, 0.500], [0.500, 0.500, 0.000], [0.000, 0.000, 0.500], [0.000, 0.500, 0.000], [0.500, 0.000, 0.000], [0.500, 0.500, 0.500]],
  "formation_enthalpy_0k_ev_per_atom": -0.514,
  "e_tot_ev_per_atom": -5.41
}

***

Record 2
{
  "formula": "Bi20Pt3I36",
  "functional": "GGA-PBE",
  "state": "optimized geometry",
  "lattice_angstrom": [[12.092, 0.000, 0.000], [0.779, 12.098, 0.000], [5.226, 4.927, 18.138]],
  "species": ["Bi", "Bi", "Bi", "Bi", "Bi", "Bi", "Bi", "Bi", "Bi", "Bi", "Bi", "Bi", "Bi", "Bi", "Bi", "Bi", "Bi", "Bi", "Bi", "Bi", "Pt", "Pt", "Pt", "I", "I", "I", "I", "I", "I", "I", "I", "I", "I", "I", "I", "I", "I", "I", "I", "I", "I", "I", "I", "I", "I", "I", "I", "I", "I", "I", "I", "I", "I", "I", "I", "I", "I", "I", "I"],
  "frac_coords": [[0.030, 0.317, 0.113], [0.096, 0.640, 0.059], [0.112, 0.863, 0.425], [0.214, 0.454, 0.917], [0.220, 0.681, 0.285], [0.288, 0.007, 0.226], [0.341, 0.839, 0.831], [0.351, 0.638, 0.451], [0.423, 0.963, 0.398], [0.465, 0.224, 0.747], [0.535, 0.776, 0.253], [0.577, 0.037, 0.602], [0.649, 0.362, 0.549], [0.659, 0.161, 0.169], [0.712, 0.993, 0.774], [0.780, 0.319, 0.715], [0.786, 0.546, 0.083], [0.888, 0.137, 0.575], [0.904, 0.360, 0.941], [0.970, 0.683, 0.887], [0.000, 0.500, 0.000], [0.325, 0.825, 0.338], [0.675, 0.175, 0.662], [0.029, 0.285, 0.631], [0.056, 0.086, 0.302], [0.092, 0.878, 0.931], [0.120, 0.667, 0.562], [0.130, 0.287, 0.845], [0.135, 0.453, 0.195], [0.191, 0.877, 0.141], [0.204, 0.045, 0.490], [0.221, 0.670, 0.772], [0.248, 0.456, 0.400], [0.275, 0.249, 0.036], [0.304, 0.042, 0.707], [0.363, 0.623, 0.965], [0.392, 0.419, 0.633], [0.425, 0.211, 0.263], [0.450, 0.996, 0.895], [0.459, 0.620, 0.176], [0.475, 0.783, 0.527], [0.525, 0.217, 0.473], [0.541, 0.380, 0.824], [0.550, 0.004, 0.105], [0.575, 0.789, 0.737], [0.608, 0.581, 0.367], [0.637, 0.377, 0.035], [0.696, 0.958, 0.293], [0.725, 0.751, 0.964], [0.752, 0.544, 0.600], [0.779, 0.330, 0.228], [0.796, 0.955, 0.510], [0.809, 0.123, 0.859], [0.865, 0.547, 0.805], [0.870, 0.713, 0.155], [0.880, 0.333, 0.438], [0.908, 0.122, 0.069], [0.944, 0.914, 0.698], [0.971, 0.715, 0.369]],
  "formation_enthalpy_0k_ev_per_atom": -0.655,
  "e_tot_ev_per_atom": -2.98
}

***

Record 3
{
  "formula": "Pr3Si2Ni6",
  "functional": "GGA-PBE",
  "state": "optimized geometry",
  "lattice_angstrom": [[-4.474, 4.474, 4.474], [4.474, -4.474, 4.474], [4.474, 4.474, -4.474]],
  "species": ["Pr", "Pr", "Pr", "Pr", "Pr", "Pr", "Si", "Si", "Si", "Si", "Ni", "Ni", "Ni", "Ni", "Ni", "Ni", "Ni", "Ni", "Ni", "Ni", "Ni", "Ni"],
  "frac_coords": [[0.000, 0.283, 0.283], [0.000, 0.717, 0.717], [0.283, 0.000, 0.283], [0.283, 0.283, 0.000], [0.717, 0.000, 0.717], [0.717, 0.717, 0.000], [0.000, 0.000, 0.500], [0.000, 0.500, 0.000], [0.500, 0.000, 0.000], [0.500, 0.500, 0.500], [0.000, 0.331, 0.669], [0.000, 0.669, 0.331], [0.331, 0.000, 0.669], [0.331, 0.331, 0.661], [0.331, 0.661, 0.331], [0.331, 0.669, 0.000], [0.339, 0.669, 0.669], [0.661, 0.331, 0.331], [0.669, 0.000, 0.331], [0.669, 0.331, 0.000], [0.669, 0.339, 0.669], [0.669, 0.669, 0.339]],
  "formation_enthalpy_0k_ev_per_atom": -0.507,
  "e_tot_ev_per_atom": -5.95
}

***

Record 4
{
  "formula": "LiSc2Ag2O4",
  "functional": "GGA-PBE",
  "state": "optimized geometry",
  "lattice_angstrom": [[2.744, -1.589, 0.000], [2.744, 1.589, 0.000], [-0.698, 0.000, 14.344]],
  "species": ["Li", "Sc", "Sc", "Ag", "Ag", "O", "O", "O", "O"],
  "frac_coords": [[0.000, 0.000, 0.000], [0.268, 0.268, 0.393], [0.314, 0.314, 0.835], [0.584, 0.584, 0.165], [0.954, 0.954, 0.616], [0.593, 0.593, 0.324], [0.658, 0.658, 0.918], [0.945, 0.945, 0.471], [0.971, 0.971, 0.766]],
  "formation_enthalpy_0k_ev_per_atom": -2.480,
  "relative_energy_mev_per_atom": 1.0,
  "e_tot_ev_per_atom": -6.62
}

***

Record 5
{
  "formula": "Bi",
  "functional": "GGA-PBE",
  "state": "optimized geometry",
  "lattice_angstrom": [[3.278, 0.000, 0.000], [0.000, 3.278, 0.000], [0.000, 0.000, 3.278]],
  "species": ["Bi"],
  "frac_coords": [[0.000, 0.000, 0.000]],
  "formation_enthalpy_0k_ev_per_atom": 0.050,
  "relative_energy_mev_per_atom": 49.5,
  "e_tot_ev_per_atom": -3.84
}

***

Record 6
{
  "formula": "LaMg2V3S8",
  "functional": "GGA-PBE",
  "state": "optimized geometry",
  "lattice_angstrom": [[7.365, 0.000, 0.000], [-3.681, 6.391, 0.000], [-0.012, -4.246, 6.311]],
  "species": ["La", "Mg", "Mg", "V", "V", "V", "S", "S", "S", "S", "S", "S", "S", "S"],
  "frac_coords": [[0.000, 0.000, 0.000], [0.373, 0.745, 0.120], [0.627, 0.255, 0.880], [0.000, 0.000, 0.500], [0.000, 0.500, 0.500], [0.500, 0.500, 0.500], [0.224, 0.962, 0.700], [0.239, 0.477, 0.716], [0.262, 0.038, 0.301], [0.262, 0.524, 0.300], [0.738, 0.476, 0.700], [0.738, 0.962, 0.699], [0.761, 0.523, 0.284], [0.776, 0.038, 0.300]],
  "formation_enthalpy_0k_ev_per_atom": -1.442,
  "e_tot_ev_per_atom": -6.05
}

***

Record 7
{
  "formula": "TbI3O9",
  "functional": "GGA-PBE",
  "state": "optimized geometry",
  "lattice_angstrom": [[6.676, 0.000, 0.000], [0.000, 8.229, 0.000], [0.000, 0.000, 6.594]],
  "species": ["Tb", "Tb", "I", "I", "I", "I", "I", "I", "O", "O", "O", "O", "O", "O", "O", "O", "O", "O", "O", "O", "O", "O", "O", "O", "O", "O"],
  "frac_coords": [[0.250, 0.250, 0.124], [0.750, 0.750, 0.876], [0.250, 0.541, 0.632], [0.250, 0.750, 0.103], [0.250, 0.959, 0.632], [0.750, 0.041, 0.368], [0.750, 0.250, 0.897], [0.750, 0.459, 0.368], [0.060, 0.610, 0.964], [0.060, 0.890, 0.964], [0.065, 0.750, 0.592], [0.250, 0.016, 0.355], [0.250, 0.250, 0.769], [0.250, 0.484, 0.355], [0.435, 0.750, 0.592], [0.440, 0.610, 0.964], [0.440, 0.890, 0.964], [0.560, 0.110, 0.036], [0.560, 0.390, 0.036], [0.565, 0.250, 0.408], [0.750, 0.516, 0.645], [0.750, 0.750, 0.231], [0.750, 0.984, 0.645], [0.935, 0.250, 0.408], [0.940, 0.110, 0.036], [0.940, 0.390, 0.036]],
  "formation_enthalpy_0k_ev_per_atom": -0.979,
  "relative_energy_mev_per_atom": 510.3,
  "e_tot_ev_per_atom": -4.64
}

***

Record 8
{
  "formula": "PdRu",
  "functional": "GGA-PBE",
  "state": "optimized geometry",
  "lattice_angstrom": [[2.751, 0.000, 0.000], [-1.376, 2.383, 0.000], [0.000, 0.000, 4.462]],
  "species": ["Pd", "Ru"],
  "frac_coords": [[0.000, 0.000, 0.000], [0.667, 0.333, 0.500]],
  "formation_enthalpy_0k_ev_per_atom": 0.228,
  "e_tot_ev_per_atom": -7.00
}

***

Record 9
{
  "formula": "SrCaYBiO6",
  "functional": "GGA-PBE",
  "state": "optimized geometry",
  "lattice_angstrom": [[5.923, 0.000, 0.000], [0.000, 5.923, 0.000], [0.000, 0.000, 8.599]],
  "species": ["Sr", "Sr", "Ca", "Ca", "Y", "Y", "Bi", "Bi", "O", "O", "O", "O", "O", "O", "O", "O", "O", "O", "O", "O"],
  "frac_coords": [[0.000, 0.500, 0.250], [0.500, 0.000, 0.750], [0.000, 0.500, 0.750], [0.500, 0.000, 0.250], [0.000, 0.000, 0.000], [0.500, 0.500, 0.500], [0.000, 0.000, 0.500], [0.500, 0.500, 0.000], [0.000, 0.000, 0.255], [0.000, 0.000, 0.745], [0.165, 0.319, 0.510], [0.181, 0.335, 0.990], [0.319, 0.835, 0.490], [0.335, 0.819, 0.010], [0.500, 0.500, 0.245], [0.500, 0.500, 0.755], [0.665, 0.181, 0.010], [0.681, 0.165, 0.490], [0.819, 0.665, 0.990], [0.835, 0.681, 0.510]],
  "formation_enthalpy_0k_ev_per_atom": -2.773,
  "relative_energy_mev_per_atom": 69.2,
  "e_tot_ev_per_atom": -6.73
}

***

Record 10
{
  "formula": "K3Sb2Au3",
  "functional": "GGA-PBE",
  "state": "optimized geometry",
  "lattice_angstrom": [[3.182, 1.837, 7.270], [-3.182, 1.837, 7.270], [0.000, -3.674, 7.270]],
  "species": ["K", "K", "K", "Sb", "Sb", "Au", "Au", "Au"],
  "frac_coords": [[0.000, 0.000, 0.000], [0.419, 0.419, 0.419], [0.581, 0.581, 0.581], [0.258, 0.258, 0.258], [0.742, 0.742, 0.742], [0.000, 0.000, 0.500], [0.000, 0.500, 0.000], [0.500, 0.000, 0.000]],
  "formation_enthalpy_0k_ev_per_atom": -0.467,
  "e_tot_ev_per_atom": -3.14
}

***

Record 11
{
  "formula": "K3Rh",
  "functional": "GGA-PBE",
  "state": "optimized geometry",
  "lattice_angstrom": [[7.888, 0.000, 0.000], [-3.944, 6.831, 0.000], [0.000, 0.000, 5.621]],
  "species": ["K", "K", "K", "K", "K", "K", "Rh", "Rh"],
  "frac_coords": [[0.187, 0.374, 0.250], [0.187, 0.813, 0.250], [0.374, 0.187, 0.750], [0.626, 0.813, 0.250], [0.813, 0.187, 0.750], [0.813, 0.626, 0.750], [0.333, 0.667, 0.750], [0.667, 0.333, 0.250]],
  "formation_enthalpy_0k_ev_per_atom": 0.583,
  "e_tot_ev_per_atom": -2.09
}

***

Record 12
{
  "formula": "ZrBrN",
  "functional": "GGA-PBE",
  "state": "optimized geometry",
  "lattice_angstrom": [[1.845, 1.065, 10.198], [-1.845, 1.065, 10.198], [0.000, -2.130, 10.198]],
  "species": ["Zr", "Zr", "Br", "Br", "N", "N"],
  "frac_coords": [[0.124, 0.124, 0.124], [0.876, 0.876, 0.876], [0.392, 0.392, 0.392], [0.608, 0.608, 0.608], [0.195, 0.195, 0.195], [0.805, 0.805, 0.805]],
  "formation_enthalpy_0k_ev_per_atom": -1.725,
  "e_tot_ev_per_atom": -7.78
}